Entry 1:
A plane-wave DFT calculation with PBE was carried out for a relaxed U3Si crystal.

- Energy of formation from the pure elements: -21.8 kJ/mol of atoms

a b c (Å): 6.001 6.001 6.001
angles (deg): 119.87 119.87 90.23
Fractional coordinates of all 8 atoms:
U  0.226  0.726  0.952
U  0.726  0.774  0.500
U  0.250  0.750  0.500
U  0.274  0.226  0.500
U  0.750  0.250  0.500
U  0.774  0.274  0.048
Si  0.750  0.750  0.000
Si  0.250  0.250  0.000


Entry 2:
A plane-wave DFT calculation with PBE was carried out for a relaxed V6Si5 crystal.

- Energy of formation from the pure elements: -41.0 kJ/mol of atoms

a b c (Å): 4.934 8.048 8.815
angles (deg): 117.16 106.25 90.00
Fractional coordinates of all 22 atoms:
V  0.000  0.500  0.500
V  0.913  0.633  0.825
V  0.500  0.500  0.500
V  0.000  0.000  0.500
V  0.087  0.808  0.175
V  0.349  0.349  0.698
V  0.753  0.000  0.000
V  0.247  0.000  0.000
V  0.087  0.367  0.175
V  0.651  0.651  0.302
V  0.913  0.192  0.825
V  0.500  0.000  0.500
Si  0.258  0.500  0.000
Si  0.395  0.086  0.790
Si  0.833  0.833  0.665
Si  0.742  0.500  0.000
Si  0.212  0.712  0.425
Si  0.605  0.296  0.210
Si  0.395  0.704  0.790
Si  0.167  0.167  0.335
Si  0.788  0.288  0.575
Si  0.605  0.914  0.210


Entry 3:
A plane-wave DFT calculation with PBE was carried out for a relaxed V6Si5 crystal.

- Energy of formation from the pure elements: -49.2 kJ/mol of atoms

a b c (Å): 9.124 9.124 9.124
angles (deg): 149.24 131.61 58.44
Fractional coordinates of all 22 atoms:
V  0.690  0.440  0.750
V  0.310  0.560  0.250
V  0.257  0.143  0.114
V  0.743  0.857  0.886
V  0.682  0.435  0.247
V  0.812  0.065  0.747
V  0.310  0.060  0.750
V  0.030  0.643  0.386
V  0.970  0.357  0.614
V  0.188  0.935  0.253
V  0.690  0.940  0.250
V  0.318  0.565  0.753
Si  0.474  0.064  0.410
Si  0.988  0.786  0.202
Si  0.000  0.750  0.750
Si  0.654  0.564  0.090
Si  0.416  0.714  0.702
Si  0.346  0.436  0.910
Si  0.012  0.214  0.798
Si  0.584  0.286  0.298
Si  0.526  0.936  0.590
Si  0.000  0.250  0.250


Entry 4:
A plane-wave DFT calculation with PBE was carried out for a relaxed V5Si6W5 crystal.

- Energy of formation from the pure elements: -38.3 kJ/mol of atoms

a b c (Å): 4.959 7.151 7.159
angles (deg): 96.64 110.27 69.71
Fractional coordinates of all 16 atoms:
V  0.427  0.850  0.704
V  0.071  0.704  0.847
V  0.573  0.150  0.297
V  0.725  0.701  0.152
V  0.926  0.298  0.151
Si  0.668  0.508  0.843
Si  0.750  0.996  0.002
Si  0.168  0.160  0.496
Si  0.331  0.498  0.161
Si  0.255  0.996  0.002
Si  0.830  0.839  0.498
W  0.249  0.500  0.499
W  0.276  0.299  0.850
W  0.749  0.500  0.499
W  0.224  0.849  0.298
W  0.776  0.150  0.702


Entry 5:
A plane-wave DFT calculation with PBE was carried out for a relaxed Zr2V3Si crystal.

- Energy of formation from the pure elements: -27.1 kJ/mol of atoms

a b c (Å): 5.130 5.130 8.663
angles (deg): 90.00 90.00 120.00
Fractional coordinates of all 12 atoms:
Zr  0.333  0.667  0.058
Zr  0.333  0.667  0.442
Zr  0.667  0.333  0.558
Zr  0.667  0.333  0.942
Si  0.000  0.000  0.500
Si  0.000  0.000  0.000
V  0.174  0.348  0.750
V  0.348  0.174  0.250
V  0.826  0.174  0.250
V  0.826  0.652  0.250
V  0.652  0.826  0.750
V  0.174  0.826  0.750


Entry 6:
A plane-wave DFT calculation with PBE was carried out for a relaxed Si2W crystal.

- Energy of formation from the pure elements: -33.4 kJ/mol of atoms

a b c (Å): 4.550 4.550 4.550
angles (deg): 138.37 138.37 60.33
Fractional coordinates of all 3 atoms:
Si  0.335  0.335  0.000
Si  0.665  0.665  0.000
W  0.000  0.000  0.000


Entry 7:
A plane-wave DFT calculation with PBE was carried out for a relaxed Si2W crystal.

- Energy of formation from the pure elements: -26.8 kJ/mol of atoms

a b c (Å): 4.617 4.617 6.653
angles (deg): 90.00 90.00 120.00
Fractional coordinates of all 9 atoms:
Si  0.164  0.836  0.167
Si  0.327  0.164  0.500
Si  0.836  0.164  0.167
Si  0.673  0.836  0.500
Si  0.836  0.673  0.833
Si  0.164  0.327  0.833
W  0.500  0.500  0.167
W  0.500  0.000  0.833
W  0.000  0.500  0.500


Entry 8:
A plane-wave DFT calculation with PBE was carried out for a relaxed Si3W5 crystal.

- Energy of formation from the pure elements: -16.8 kJ/mol of atoms

a b c (Å): 7.280 7.280 7.280
angles (deg): 96.77 96.77 139.84
Fractional coordinates of all 16 atoms:
W  0.724  0.575  0.299
W  0.224  0.925  0.149
W  0.750  0.250  0.500
W  0.776  0.075  0.851
W  0.575  0.276  0.851
W  0.250  0.750  0.500
W  0.075  0.224  0.299
W  0.425  0.724  0.149
W  0.925  0.776  0.701
W  0.276  0.425  0.701
Si  0.750  0.750  0.000
Si  0.250  0.250  0.000
Si  0.832  0.332  0.164
Si  0.332  0.168  0.500
Si  0.168  0.668  0.836
Si  0.668  0.832  0.500


Entry 9:
A plane-wave DFT calculation with PBE was carried out for a relaxed Si2W3 crystal.

- Energy of formation from the pure elements: 0.2 kJ/mol of atoms

a b c (Å): 6.616 6.616 3.344
angles (deg): 90.00 90.00 90.00
Fractional coordinates of all 10 atoms:
W  0.160  0.340  0.500
W  0.000  0.000  0.000
W  0.840  0.660  0.500
W  0.340  0.840  0.500
W  0.660  0.160  0.500
W  0.500  0.500  0.000
Si  0.634  0.866  0.000
Si  0.134  0.634  0.000
Si  0.866  0.366  0.000
Si  0.366  0.134  0.000


Entry 10:
A plane-wave DFT calculation with PBE was carried out for a relaxed ZrSiW4 crystal.

- Energy of formation from the pure elements: 28.9 kJ/mol of atoms

a b c (Å): 5.333 5.333 5.333
angles (deg): 60.00 60.00 60.00
Fractional coordinates of all 6 atoms:
W  0.877  0.374  0.374
W  0.374  0.877  0.374
W  0.374  0.374  0.877
W  0.374  0.374  0.374
Si  0.000  0.000  0.000
Zr  0.750  0.750  0.750


Entry 11:
A plane-wave DFT calculation with PBE was carried out for a relaxed Y3Si crystal.

- Energy of formation from the pure elements: -21.2 kJ/mol of atoms

a b c (Å): 4.668 4.668 4.668
angles (deg): 90.00 90.00 90.00
Fractional coordinates of all 4 atoms:
Y  0.000  0.500  0.500
Y  0.500  0.500  0.000
Y  0.500  0.000  0.500
Si  0.000  0.000  0.000


Entry 12:
A plane-wave DFT calculation with PBE was carried out for a relaxed YSi2 crystal.

- Energy of formation from the pure elements: -23.5 kJ/mol of atoms

a b c (Å): 4.189 9.072 8.176
angles (deg): 124.07 90.00 90.00
Fractional coordinates of all 12 atoms:
Si  0.500  0.002  0.710
Si  0.500  0.320  0.997
Si  0.500  0.026  0.256
Si  0.500  0.264  0.239
Si  0.500  0.712  0.676
Si  0.500  0.329  0.573
Si  0.500  0.666  0.243
Si  0.500  0.737  0.984
Y  0.000  0.986  0.962
Y  0.000  0.958  0.438
Y  0.000  0.520  0.373
Y  0.000  0.479  0.882


For each record above, in turn, the calculated calculated total energy values are -80.55, -173.32, -175.19, -149.11, -103.06, -24.85, -73.93, -164.93, -99.43, -64.01, -25.77, -72.75 eV for the cell shown.